[1]
A plane-wave DFT calculation with PBE+U was carried out for a relaxed structure of Li3Mo3P4O16.

The calculation puts the total magnetization at 9.00 μB/f.u. The space-group type is P2_1/c (14). The energy relative to the lowest polymorph listed for this composition is 0.000 eV per atom. The raw total energy comes out at -0.25961 Ha/atom.

Cell lengths 5.1042, 8.7382, 13.7675 Å; angles 84.68, 90.00, 90.00 degrees
Last column: nearest neighbours and their distance in Å.
Fractional coordinates of all 52 atoms:
1 P 0.4960 0.1183 0.3512  4 O 1.52-1.59
2 P 0.5040 0.8817 0.6488  4 O 1.52-1.59
3 P 0.4988 0.8219 0.1131  4 O 1.51-1.57
4 P 0.0040 0.6183 0.8512  4 O 1.52-1.59
5 P 0.9960 0.3817 0.1488  4 O 1.52-1.59
6 P 0.0012 0.3219 0.6131  4 O 1.51-1.57
7 P 0.9988 0.6781 0.3869  4 O 1.51-1.57
8 P 0.5012 0.1781 0.8869  4 O 1.51-1.57
9 O 0.5134 0.2591 0.9829  1 P 1.56
10 O 0.7704 0.5589 0.3856  1 P 1.56
11 O 0.2545 0.5781 0.3950  1 P 1.57
12 O 0.0134 0.2409 0.5171  1 P 1.56
13 O 0.1533 0.4889 0.0777  1 P 1.52
14 O 0.0325 0.2112 0.1270  1 P 1.56
15 O 0.7296 0.0589 0.8856  1 P 1.56
16 O 0.7455 0.4219 0.6050  1 P 1.57
17 O 0.4017 0.9000 0.7534  1 P 1.55
18 O 0.7545 0.9219 0.1050  1 P 1.57
19 O 0.9017 0.6000 0.7466  1 P 1.55
20 O 0.2704 0.9411 0.1144  1 P 1.56
21 O 0.2455 0.0781 0.8950  1 P 1.57
22 O 0.4866 0.7409 0.0171  1 P 1.56
23 O 0.5325 0.2888 0.3730  1 P 1.56
24 O 0.2296 0.4411 0.6144  1 P 1.56
25 O 0.6945 0.4283 0.1444  1 P 1.59
26 O 0.0983 0.4000 0.2534  1 P 1.55
27 O 0.3055 0.5717 0.8556  1 P 1.59
28 O 0.4675 0.7112 0.6270  1 P 1.56
29 O 0.8467 0.5111 0.9223  1 P 1.52
30 O 0.0089 0.2116 0.7046  1 P 1.51
31 O 0.3467 0.9889 0.5777  1 P 1.52
32 O 0.9866 0.7591 0.4829  1 P 1.56
33 O 0.1945 0.0717 0.3556  1 P 1.59
34 O 0.5089 0.2884 0.7954  1 P 1.51
35 O 0.5983 0.1000 0.2466  1 P 1.55
36 O 0.6533 0.0111 0.4223  1 P 1.52
37 O 0.9911 0.7884 0.2954  1 P 1.51
38 O 0.8055 0.9283 0.6444  1 P 1.59
39 O 0.4911 0.7116 0.2046  1 P 1.51
40 O 0.9675 0.7888 0.8730  1 P 1.56
41 Li 0.5000 0.5000 0.5000  4 O 1.99-2.12
42 Li 0.9476 0.3500 0.3875  4 O 1.97-2.20
43 Li 0.4476 0.1500 0.1125  4 O 1.97-2.20
44 Li 0.0524 0.6500 0.6125  4 O 1.97-2.20
45 Li 0.5524 0.8500 0.8875  4 O 1.97-2.20
46 Li 0.0000 0.0000 0.0000  4 O 1.99-2.12
47 Mo 0.5000 0.5000 0.0000  6 O 2.07-2.26
48 Mo 0.9753 0.0011 0.2181  5 O 2.06-2.17
49 Mo 0.0000 0.0000 0.5000  6 O 2.07-2.26
50 Mo 0.5247 0.5011 0.7181  5 O 2.06-2.17
51 Mo 0.0247 0.9989 0.7819  5 O 2.06-2.17
52 Mo 0.4753 0.4989 0.2819  5 O 2.06-2.17

***

[2]
A plane-wave DFT calculation with PBE+U was carried out for a relaxed structure of LuMnO3.

The calculation puts the total magnetization at 4.00 μB/f.u. The space-group type is Pnma (62). The raw total energy comes out at -0.29472 Ha/atom.

Cell lengths 5.2418, 5.7749, 7.4440 Å; angles 90.00, 90.00, 90.00 degrees
Last column: nearest neighbours and their distance in Å.
Fractional coordinates of all 20 atoms:
1 Mn 0.5000 0.0000 0.5000  4 O 1.93-2.00
2 Mn 0.0000 0.5000 0.0000  4 O 1.93-2.00
3 Mn 0.5000 0.0000 0.0000  4 O 1.93-2.00
4 Mn 0.0000 0.5000 0.5000  4 O 1.93-2.00
5 O 0.3691 0.9497 0.2500  2 Mn 2.00, 1 Lu 2.18
6 O 0.8691 0.5503 0.7500  2 Mn 2.00, 1 Lu 2.18
7 O 0.6309 0.0503 0.7500  2 Mn 2.00, 1 Lu 2.18
8 O 0.8033 0.8274 0.0621  1 Mn 1.93
9 O 0.6967 0.3274 0.0621  1 Mn 1.93
10 O 0.6967 0.3274 0.4379  1 Mn 1.93
11 O 0.1309 0.4497 0.2500  2 Mn 2.00, 1 Lu 2.18
12 O 0.1967 0.1726 0.9379  1 Mn 1.93
13 O 0.3033 0.6726 0.5621  1 Mn 1.93
14 O 0.3033 0.6726 0.9379  1 Mn 1.93
15 O 0.8033 0.8274 0.4379  1 Mn 1.93
16 O 0.1967 0.1726 0.5621  1 Mn 1.93
17 Lu 0.5207 0.5835 0.2500  4 O 2.18-2.26
18 Lu 0.0207 0.9165 0.7500  4 O 2.18-2.26
19 Lu 0.4793 0.4165 0.7500  4 O 2.18-2.26
20 Lu 0.9793 0.0835 0.2500  4 O 2.18-2.26

***

[3]
A plane-wave DFT calculation with PBE+U was carried out for a relaxed structure of HoCrO4.

The space-group type is I4_1/a (88). The raw total energy comes out at -0.28076 Ha/atom.

Cell lengths 5.0405, 5.0405, 6.6886 Å; angles 112.14, 112.14, 90.00 degrees
Last column: nearest neighbours and their distance in Å.
Fractional coordinates of all 12 atoms:
1 O 0.3374 0.2236 0.1555  1 Cr 1.74
2 O 0.8181 0.9319 0.1555  1 Cr 1.74
3 O 0.4736 0.5681 0.6555  1 Cr 1.74
4 O 0.7764 0.1819 0.8445  1 Cr 1.74
5 O 0.9126 0.5264 0.3445  1 Cr 1.74
6 O 0.4319 0.8181 0.3445  1 Cr 1.74
7 O 0.1819 0.0874 0.6555  1 Cr 1.74
8 O 0.0681 0.6626 0.8445  1 Cr 1.74
9 Ho 0.7500 0.2500 0.5000  8 O 2.33-2.41
10 Ho 0.5000 0.5000 0.0000  8 O 2.33-2.41
11 Cr 0.0000 0.0000 0.0000  4 O 1.74
12 Cr 0.2500 0.7500 0.5000  4 O 1.74

***

[4]
A plane-wave DFT calculation with PBE+U was carried out for a relaxed structure of Ag6Te4W3O20.

The calculation puts the total magnetization at 0.00 μB/f.u. The space-group type is C2/c (15). The raw total energy comes out at -0.20813 Ha/atom.

Cell lengths 15.5241, 15.5241, 9.7124 Å; angles 88.41, 88.41, 25.39 degrees
Last column: nearest neighbours and their distance in Å.
Fractional coordinates of all 66 atoms:
1 Ag 0.4593 0.7536 0.7950  4 O 2.36-2.52
2 Ag 0.8548 0.5127 0.0087  3 O 2.30-2.53
3 Ag 0.5127 0.8548 0.5087  3 O 2.30-2.53
4 Ag 0.2464 0.5407 0.7050  4 O 2.36-2.52
5 Ag 0.4247 0.6357 0.0930  2 O 2.22-2.31
6 Ag 0.1452 0.4873 0.9913  3 O 2.30-2.53
7 Ag 0.5407 0.2464 0.2051  4 O 2.36-2.52
8 Ag 0.7536 0.4593 0.2950  4 O 2.36-2.52
9 Ag 0.3643 0.5753 0.4070  2 O 2.22-2.31
10 Ag 0.6357 0.4247 0.5930  2 O 2.22-2.31
11 Ag 0.4873 0.1452 0.4913  3 O 2.30-2.53
12 Ag 0.5753 0.3643 0.9070  2 O 2.22-2.31
13 O 0.7383 0.1945 0.1521  1 W 1.81
14 O 0.8165 0.4346 0.7687  1 W 1.83
15 O 0.9475 0.9593 0.3899  1 Te 1.96, 1 W 1.97
16 O 0.5305 0.3035 0.4506  1 Te 1.87
17 O 0.6520 0.7665 0.1612  1 Te 1.93
18 O 0.6965 0.4695 0.0494  1 Te 1.87
19 O 0.0757 0.3406 0.8234  1 Te 1.94, 1 W 2.15
20 O 0.3406 0.0757 0.3234  1 Te 1.94, 1 W 2.15
21 O 0.6851 0.8586 0.9471  1 Te 1.94
22 O 0.3480 0.2335 0.8388  1 Te 1.93
23 O 0.7665 0.6520 0.6612  1 Te 1.93
24 O 0.3149 0.1414 0.0529  1 Te 1.94
25 O 0.8910 0.4100 0.4804  1 W 1.83
26 O 0.0407 0.0525 0.1101  1 Te 1.96, 1 W 1.97
27 O 0.9593 0.9475 0.8899  1 Te 1.96, 1 W 1.97
28 O 0.2617 0.8055 0.8479  1 W 1.81
29 O 0.2220 0.8357 0.3509  1 Te 1.93
30 O 0.4100 0.8910 0.9804  1 W 1.83
31 O 0.7780 0.1643 0.6491  1 Te 1.93
32 O 0.4346 0.8165 0.2687  1 W 1.83
33 O 0.4695 0.6965 0.5494  1 Te 1.87
34 O 0.1090 0.5900 0.5196  1 W 1.83
35 O 0.9198 0.7849 0.8411  1 W 1.83
36 O 0.1414 0.3149 0.5529  1 Te 1.94
37 O 0.5900 0.1090 0.0196  1 W 1.83
38 O 0.2151 0.0802 0.6589  1 W 1.83
39 O 0.1945 0.7383 0.6521  1 W 1.81
40 O 0.9243 0.6594 0.1766  1 Te 1.94, 1 W 2.15
41 O 0.3035 0.5305 0.9506  1 Te 1.87
42 O 0.8357 0.2220 0.8509  1 Te 1.93
43 O 0.1835 0.5654 0.2313  1 W 1.83
44 O 0.7849 0.9198 0.3411  1 W 1.83
45 O 0.5654 0.1835 0.7313  1 W 1.83
46 O 0.2335 0.3480 0.3388  1 Te 1.93
47 O 0.0802 0.2151 0.1589  1 W 1.83
48 O 0.8055 0.2617 0.3479  1 W 1.81
49 O 0.8586 0.6851 0.4471  1 Te 1.94
50 O 0.6594 0.9243 0.6766  1 Te 1.94, 1 W 2.15
51 O 0.1643 0.7780 0.1491  1 Te 1.93
52 O 0.0525 0.0407 0.6101  1 Te 1.96, 1 W 1.97
53 Te 0.0629 0.7780 0.0380  3 O 1.87-1.96
54 Te 0.0970 0.3615 0.3558  3 O 1.93-1.94
55 Te 0.7780 0.0629 0.5380  3 O 1.87-1.96
56 Te 0.9030 0.6385 0.6442  3 O 1.93-1.94
57 Te 0.2220 0.9371 0.4620  3 O 1.87-1.96
58 Te 0.6385 0.9030 0.1442  3 O 1.93-1.94
59 Te 0.3615 0.0970 0.8558  3 O 1.93-1.94
60 Te 0.9371 0.2220 0.9620  3 O 1.87-1.96
61 W 0.0219 0.6465 0.3463  3 O 1.83
62 W 0.0629 0.9371 0.7500  4 O 1.81-1.97
63 W 0.9371 0.0629 0.2500  4 O 1.81-1.97
64 W 0.3535 0.9781 0.1537  3 O 1.83
65 W 0.9781 0.3535 0.6537  3 O 1.83
66 W 0.6465 0.0219 0.8463  3 O 1.83

***

[5]
A plane-wave DFT calculation with PBE+U was carried out for a relaxed structure of Li5Mn3O8.

The calculation puts the total magnetization at 7.00 μB/f.u. The space-group type is P-1 (2). The energy relative to the lowest polymorph listed for this composition is 0.001 eV per atom. The raw total energy comes out at -0.23084 Ha/atom.

Cell lengths 5.0010, 5.0848, 11.8699 Å; angles 88.90, 88.96, 108.28 degrees
Last column: nearest neighbours and their distance in Å.
Fractional coordinates of all 32 atoms:
1 O 0.7453 0.2253 0.7560  2 Mn 1.95, 4 Li 2.14-2.16
2 O 0.2068 0.2217 0.6145  2 Mn 1.90-2.00, 3 Li 2.01-2.12
3 O 0.2465 0.7748 0.4906  2 Mn 1.94, 2 Li 2.10-2.15
4 O 0.2543 0.7816 0.7599  2 Mn 1.96-1.97, 3 Li 2.06-2.15
5 O 0.2633 0.2341 0.8813  2 Mn 1.92-2.01, 2 Li 2.06-2.13
6 O 0.7414 0.2143 0.4887  2 Mn 1.94, 3 Li 2.07-2.17
7 O 0.7463 0.2189 0.9903  2 Mn 1.96-1.97, 3 Li 2.06-2.15
8 O 0.2552 0.7752 0.9941  2 Mn 1.95, 4 Li 2.14-2.16
9 O 0.7930 0.7780 0.1354  2 Mn 1.90-2.01, 3 Li 2.01-2.12
10 O 0.7575 0.7817 0.3752  3 Mn 1.95-2.04, 1 Li 2.15
11 O 0.7375 0.7667 0.8688  2 Mn 1.93-2.01, 2 Li 2.06-2.13
12 O 0.2353 0.2487 0.1389  1 Mn 1.86, 2 Li 1.99
13 O 0.7645 0.7510 0.6111  1 Mn 1.86, 2 Li 1.99
14 O 0.2420 0.2179 0.3747  3 Mn 1.95-2.04, 1 Li 2.15
15 O 0.2580 0.7852 0.2612  2 Mn 1.94, 3 Li 2.07-2.17
16 O 0.7531 0.2249 0.2593  2 Mn 1.94, 2 Li 2.10-2.15
17 Li 0.9997 0.4997 0.3750  6 O 2.07-2.15
18 Li 0.5037 0.0049 0.1253  6 O 2.06-2.15
19 Li 0.0048 0.5020 0.1249  4 O 1.99-2.20
20 Li 0.4962 0.9949 0.6247  6 O 2.06-2.15
21 Li 0.4968 0.4952 0.5095  4 O 1.99-2.18
22 Li 0.5028 0.5045 0.2405  4 O 1.99-2.18
23 Li 0.5033 0.5053 0.7508  5 O 2.06-2.20
24 Li 0.4973 0.4955 0.9994  5 O 2.06-2.20
25 Li 0.9948 0.4976 0.6250  4 O 1.99-2.20
26 Li 0.0004 0.5002 0.8750  6 O 2.06-2.16
27 Mn 0.0057 0.0019 0.0027  5 O 1.95-2.18
28 Mn 0.9914 0.9920 0.5023  6 O 1.86-2.04
29 Mn 0.0082 0.0077 0.2476  6 O 1.86-2.04
30 Mn 0.9947 0.9985 0.7474  5 O 1.95-2.18
31 Mn 0.4998 0.9998 0.3749  6 O 1.94-1.95
32 Mn 0.5003 0.0004 0.8751  6 O 1.92-1.97